Entry 1:
Material: NbAlFe
Method: DFT, PBE-GGA
State: optimized geometry

extended XYZ file:
```
12
Lattice="3.792 3.109 0.535 3.950 -0.492 -2.920 -3.385 5.063 -5.430" Properties=species:S:1:pos:R:3 pbc="T T T"
Al 7.661 2.643 -2.413
Nb -0.608 5.667 -5.936
Nb 4.926 2.096 -1.967
Al 1.992 6.219 -4.639
Al 2.063 4.461 -6.322
Nb 3.703 3.925 -3.929
Al 6.025 5.090 -5.038
Fe 2.307 3.209 -1.511
Nb 0.719 3.682 -3.807
Fe 3.932 5.982 -6.069
Fe 0.472 1.714 -1.761
Fe 2.386 1.481 -3.172
```

Properties
E_tot	-7.7568	eV per atom
volume	173.4	Å³ per cell
formation energy	-0.318	eV per atom
M_tot	1.55	μB/f.u.
space group	Amm2 (38)

=====

Entry 2:
Material: Na7Mg3NbSi3S3O24
Method: DFT, PBE-GGA
State: optimized geometry

extended XYZ file:
```
123
Lattice="-2.929 -8.324 -2.193 5.036 1.254 7.484 -18.488 3.543 12.054" Properties=species:S:1:pos:R:3 pbc="T T T"
O -17.854 -0.670 11.069
O -8.645 1.565 10.358
O -1.322 -1.189 1.900
O -10.668 -4.857 6.829
Na 0.042 0.481 3.327
Na 2.282 -1.029 7.680
O -9.012 -3.149 8.937
Na -6.318 -3.627 8.311
Si -13.216 -4.787 12.110
O -13.488 -0.998 10.345
O -2.825 0.144 6.222
Na -9.070 -6.278 5.234
O -1.669 -5.395 0.112
O -7.463 -2.230 6.568
O -13.588 -3.760 10.905
O -11.260 0.395 6.735
Na 0.162 -4.366 4.898
O -9.036 -3.633 4.637
Si -15.491 -1.200 14.791
O -3.850 0.892 8.882
S -1.209 -6.895 3.541
Nb -3.467 -0.798 8.041
O -7.116 0.424 6.004
Na -8.379 -1.133 4.546
O -14.668 1.372 10.511
O -10.186 -2.763 13.691
Na -4.236 -6.537 5.742
O -11.184 2.120 13.972
O -0.422 -6.831 4.799
Na -9.954 0.461 12.320
O -12.468 2.912 17.992
Na -15.442 -2.219 10.970
Na -15.012 -5.090 9.504
O -2.104 -3.049 3.337
Si -3.137 -4.104 6.739
O -11.379 -0.556 14.241
O -2.609 0.699 3.931
O -5.378 -5.864 3.471
Mg -3.734 -4.389 3.246
Nb -12.652 0.814 13.958
S -11.644 -1.030 6.484
O -17.087 -4.034 8.217
Nb -18.321 -1.710 12.719
Mg -1.524 2.403 11.604
Na -16.198 -3.374 17.215
Si -6.918 -0.779 7.079
O -10.377 -1.809 6.400
O -14.197 -0.352 14.096
Na -6.280 -4.422 1.510
O -12.765 -5.831 6.232
O -4.122 -4.689 7.877
O -8.898 -1.410 10.712
S -15.253 3.347 13.799
O -5.169 -3.004 3.101
O -13.687 -4.144 13.485
Na -7.399 2.658 12.289
O -16.096 2.876 14.916
S -13.129 1.722 17.517
O -7.809 -5.024 6.820
O -13.932 2.669 13.779
O -14.591 1.914 17.486
Si -13.275 0.603 10.512
O -7.398 0.121 12.681
O -12.527 0.736 12.079
Na -10.056 0.048 8.899
Na -8.063 -2.284 12.922
O -3.872 -4.687 1.300
O -6.039 -1.810 10.861
O -8.737 2.994 14.281
Na -14.871 -0.329 8.348
O -4.984 -3.936 10.545
Mg -0.750 -6.429 7.061
O -3.882 -6.692 -0.613
Na -4.023 -1.814 4.881
Si -3.369 -5.203 -0.139
O -5.222 -1.060 7.297
O 1.432 0.005 5.382
O -5.760 1.251 10.685
O -7.517 -6.808 2.957
Na -6.353 -3.851 5.134
Si -5.454 -1.568 2.378
S -4.746 -2.515 10.850
O -17.795 -3.489 11.936
O -12.539 -4.582 8.365
O -16.301 -0.198 15.736
O -1.627 -4.712 6.739
O -16.563 -1.471 13.439
O -2.849 -2.450 7.089
O -9.179 -3.780 11.236
Mg -9.070 -3.427 6.872
O -12.074 1.230 9.596
O -12.612 1.173 16.242
Si -15.885 -3.278 7.508
S -9.534 -2.703 10.258
O 1.366 -2.750 6.258
Mg 2.130 -2.031 4.503
S -11.892 -5.494 7.399
Na -0.611 -1.500 6.367
Mg -10.220 -4.707 13.292
Na -12.617 -2.036 12.394
Mg -13.557 -3.989 15.407
O -0.006 -2.002 3.757
O -3.504 2.428 11.180
Mg -13.015 -2.671 9.356
O -3.903 -4.185 5.289
S -0.950 -2.407 2.673
Na -9.175 1.646 5.937
O -0.338 -6.251 2.485
Si -4.540 2.038 9.996
O -6.139 -0.646 3.508
O -3.825 -1.900 9.797
O -1.540 -0.653 8.601
O -14.854 -2.742 8.632
O 0.822 0.399 9.061
O -10.988 -2.450 10.174
O -2.498 -6.187 3.625
O -15.094 -2.590 15.448
S -3.150 1.242 5.200
O -0.344 -3.372 1.688
Mg -7.125 -0.063 10.394
O -15.953 3.322 12.540
O -12.517 -1.575 7.545
O -7.455 -0.277 8.509
```

Properties
E_tot	-6.3213	eV per atom
volume	1600.4	Å³ per cell
formation energy	-2.538	eV per atom
M_tot	0.00	μB/f.u.
space group	P1 (1)

=====

Which of these has the highest formation energy? NbAlFe

=====

Look up the M_tot of the first one. 1.55 μB/f.u.